First-principles (PBE) data for a relaxed CdP2N4 crystal, as listed in the Materials Project database.

- E_tot (eV per atom) = -6.62
- formation enthalpy at 0 K (eV per atom) = -0.39

The structure in CIF format:
```
data_CdP2N4
_chemical_formula_sum 'Cd24 P48 N96'
_space_group_name_H-M_alt 'P 63 2 2'
_space_group_IT_number 182
_space_group_name_Hall 'P 6c 2c'
_cell_length_a 17.0206
_cell_length_b 17.0206
_cell_length_c 7.9144
_cell_angle_alpha 90.00
_cell_angle_beta 90.00
_cell_angle_gamma 120.00
loop_
_atom_site_label
_atom_site_type_symbol
_atom_site_fract_x
_atom_site_fract_y
_atom_site_fract_z
_atom_site_occupancy
Cd1 Cd 0.0000 0.0000 0.0000 1
Cd2 Cd 0.0000 0.4747 0.0000 1
Cd3 Cd 0.1450 0.3396 0.0065 1
Cd4 Cd 0.3333 0.6667 0.5027 1
P1 P 0.9999 0.3348 0.2987 1
P2 P 0.0008 0.1690 0.6969 1
P3 P 0.1671 0.5001 0.3035 1
P4 P 0.1666 0.5004 0.6980 1
N1 N 0.0000 0.1794 0.5000 1
N2 N 0.0000 0.3387 0.5000 1
N3 N 0.0398 0.2712 0.2194 1
N4 N 0.0603 0.1207 0.2500 1
N5 N 0.0645 0.4392 0.2205 1
N6 N 0.1038 0.3983 0.7818 1
N7 N 0.1068 0.2136 0.7500 1
N8 N 0.1190 0.5595 0.7500 1
N9 N 0.1645 0.4934 0.5010 1
N10 N 0.2157 0.6078 0.2500 1
N11 N 0.2260 0.4519 0.2500 1
N12 N 0.2749 0.5498 0.7500 1
```